VASP calculation (r2SCAN) on a geometry-optimized CeP2Ru2 structure.

The structure in POSCAR format:
```
CeP2Ru2
1.0
3.807 0.000 -1.411
-0.523 3.771 -1.411
-0.062 -0.072 5.675
Ce P Ru
1 2 2
direct
0.000 0.000 0.000
0.372 0.372 0.743
0.628 0.628 0.257
0.250 0.750 0.500
0.750 0.250 0.500
```

Summary:
* calculated formation energy: -25.5 kcal/mol of atoms
* crystal system: tetragonal
* symmetry: I4/mmm, No. 139
* raw total energy: -21.04 eV/atom

---

VASP calculation (r2SCAN) on a geometry-optimized SmCuSn structure.

The structure in POSCAR format:
```
SmCuSn
1.0
-4.219 -1.672 0.402
3.523 -2.248 1.813
-0.888 3.785 6.418
Sm Cu Sn
2 2 2
direct
0.000 0.000 0.494
0.000 0.000 0.994
0.667 0.333 0.309
0.333 0.667 0.809
0.333 0.667 0.225
0.667 0.333 0.725
```

Summary:
* calculated formation energy: -15.5 kcal/mol of atoms
* crystal system: hexagonal
* symmetry: P6_3mc, No. 186
* raw total energy: -22.45 eV/atom

---

VASP calculation (r2SCAN) on a geometry-optimized Dy2Sc3Si4 structure.

The structure in POSCAR format:
```
Dy2Sc3Si4
1.0
7.082 0.000 0.000
0.000 7.396 0.000
0.000 0.000 13.972
Dy Sc Si
8 12 16
direct
0.012 0.176 0.097
0.988 0.824 0.903
0.488 0.676 0.903
0.988 0.824 0.597
0.512 0.324 0.097
0.012 0.176 0.403
0.512 0.324 0.403
0.488 0.676 0.597
0.163 0.503 0.750
0.837 0.497 0.250
0.337 0.003 0.250
0.663 0.997 0.750
0.330 0.177 0.626
0.670 0.823 0.374
0.170 0.677 0.374
0.670 0.823 0.126
0.830 0.323 0.626
0.330 0.177 0.874
0.830 0.323 0.874
0.170 0.677 0.126
0.034 0.115 0.750
0.966 0.885 0.250
0.466 0.615 0.250
0.534 0.385 0.750
0.286 0.873 0.750
0.714 0.127 0.250
0.214 0.373 0.250
0.786 0.627 0.750
0.158 0.465 0.539
0.842 0.535 0.461
0.342 0.965 0.461
0.842 0.535 0.039
0.658 0.035 0.539
0.158 0.465 0.961
0.658 0.035 0.961
0.342 0.965 0.039
```

Summary:
* calculated formation energy: -20.4 kcal/mol of atoms
* crystal system: orthorhombic
* symmetry: Pnma, No. 62
* raw total energy: -15.69 eV/atom

---

VASP calculation (r2SCAN) on a geometry-optimized Ca3Mo2O7 structure.

The structure in POSCAR format:
```
Ca3Mo2O7
1.0
2.743 -9.863 0.000
2.743 9.863 0.000
0.000 0.000 5.602
Ca Mo O
6 4 14
direct
0.242 0.242 0.299
0.758 0.758 0.799
0.049 0.429 0.202
0.951 0.571 0.702
0.429 0.049 0.202
0.571 0.951 0.702
0.848 0.648 0.250
0.152 0.352 0.750
0.352 0.152 0.750
0.648 0.848 0.250
0.626 0.026 0.280
0.374 0.974 0.780
0.974 0.374 0.780
0.026 0.626 0.280
0.429 0.663 0.955
0.571 0.337 0.455
0.337 0.571 0.455
0.663 0.429 0.955
0.965 0.128 0.047
0.035 0.872 0.547
0.658 0.658 0.214
0.342 0.342 0.714
0.128 0.965 0.047
0.872 0.035 0.547
```

Summary:
* calculated formation energy: -62.2 kcal/mol of atoms
* crystal system: orthorhombic
* symmetry: Cmc2_1, No. 36
* raw total energy: -12.29 eV/atom

---

VASP calculation (r2SCAN) on a geometry-optimized SnF2 structure.

The structure in POSCAR format:
```
SnF2
1.0
5.041 0.000 0.000
0.000 5.041 0.000
0.000 0.000 8.435
Sn F
4 8
direct
0.011 0.011 0.500
0.489 0.511 0.750
0.511 0.489 0.250
0.989 0.989 0.000
0.733 0.864 0.337
0.267 0.136 0.837
0.864 0.733 0.663
0.364 0.767 0.087
0.136 0.267 0.163
0.233 0.636 0.413
0.767 0.364 0.913
0.636 0.233 0.587
```

Summary:
* calculated formation energy: -54.7 kcal/mol of atoms
* crystal system: tetragonal
* symmetry: P4_12_12, No. 92
* raw total energy: -12.70 eV/atom

---

VASP calculation (r2SCAN) on a geometry-optimized Sb3O2F5 structure.

The structure in POSCAR format:
```
Sb3O2F5
1.0
-1.609 -5.340 -1.894
7.199 -3.620 4.089
-3.631 -3.228 12.189
Sb O F
12 8 20
direct
0.962 0.750 0.000
0.038 0.250 0.000
0.563 0.878 0.208
0.563 0.622 0.792
0.437 0.122 0.792
0.437 0.378 0.208
0.612 0.750 0.500
0.388 0.250 0.500
0.959 0.581 0.362
0.959 0.919 0.638
0.041 0.419 0.638
0.041 0.081 0.362
0.737 0.778 0.339
0.737 0.722 0.661
0.263 0.222 0.661
0.263 0.278 0.339
0.832 0.924 0.493
0.832 0.576 0.507
0.168 0.076 0.507
0.168 0.424 0.493
0.198 0.734 0.360
0.198 0.766 0.640
0.802 0.266 0.640
0.802 0.234 0.360
0.736 0.915 0.960
0.736 0.585 0.040
0.264 0.085 0.040
0.264 0.415 0.960
0.544 0.512 0.296
0.544 0.988 0.704
0.456 0.488 0.704
0.456 0.012 0.296
0.870 0.768 0.151
0.870 0.732 0.849
0.130 0.232 0.849
0.130 0.268 0.151
0.225 0.949 0.844
0.225 0.551 0.156
0.775 0.051 0.156
0.775 0.449 0.844
```

Summary:
* calculated formation energy: -49.9 kcal/mol of atoms
* crystal system: monoclinic
* symmetry: P2/c, No. 13
* raw total energy: -12.63 eV/atom

---

VASP calculation (r2SCAN) on a geometry-optimized Lu2Mn3Si5 structure.

The structure in POSCAR format:
```
Lu2Mn3Si5
1.0
10.509 0.000 0.000
0.000 10.509 0.000
0.000 0.000 5.357
Lu Mn Si
8 12 20
direct
0.575 0.738 0.500
0.425 0.262 0.500
0.075 0.762 0.000
0.925 0.238 0.000
0.262 0.575 0.500
0.738 0.425 0.500
0.238 0.075 0.000
0.762 0.925 0.000
0.881 0.860 0.500
0.119 0.140 0.500
0.381 0.640 0.000
0.619 0.360 0.000
0.140 0.881 0.500
0.860 0.119 0.500
0.360 0.381 0.000
0.640 0.619 0.000
0.500 0.000 0.250
0.000 0.500 0.750
0.000 0.500 0.250
0.500 0.000 0.750
0.676 0.176 0.250
0.324 0.824 0.250
0.176 0.324 0.750
0.824 0.676 0.750
0.824 0.676 0.250
0.176 0.324 0.250
0.676 0.176 0.750
0.324 0.824 0.750
0.500 0.500 0.264
0.000 0.000 0.764
0.500 0.500 0.736
0.000 0.000 0.236
0.685 0.976 0.500
0.315 0.024 0.500
0.185 0.524 0.000
0.815 0.476 0.000
0.024 0.685 0.500
0.976 0.315 0.500
0.476 0.185 0.000
0.524 0.815 0.000
```

Summary:
* calculated formation energy: -14.0 kcal/mol of atoms
* crystal system: tetragonal
* symmetry: P4/mnc, No. 128
* raw total energy: -17.02 eV/atom

---

VASP calculation (r2SCAN) on a geometry-optimized Mo2C structure.

The structure in POSCAR format:
```
Mo2C
1.0
1.528 -2.647 0.000
1.528 2.647 0.000
0.000 0.000 4.639
Mo C
2 1
direct
0.333 0.667 0.250
0.667 0.333 0.750
0.000 0.000 0.500
```

Summary:
* calculated formation energy: -1.8 kcal/mol of atoms
* crystal system: trigonal
* symmetry: P-3m1, No. 164
* raw total energy: -20.77 eV/atom